# 1
Material: Nb2Co4O9
Method: DFT, PBE+U
State: optimized geometry

```
30
Lattice="5.215 0.000 0.000 2.599 4.524 0.000 0.088 0.037 14.318" Properties=species:S:1:pos:R:3 pbc="T T T"
Nb 0.000 0.000 0.000
Nb 2.659 4.530 11.228
Nb 2.653 4.536 7.179
Nb 7.814 4.529 4.087
Co 2.601 1.508 1.827
Co 2.662 1.518 9.005
Co 2.683 1.532 11.992
Co 2.647 1.522 4.762
Co 5.207 3.010 2.263
Co 5.261 3.037 9.381
Co 5.245 3.025 6.422
Co 5.317 3.026 13.667
O 1.886 3.213 5.634
O 0.951 1.454 3.251
O 1.874 2.980 10.408
O 1.562 0.015 5.618
O 3.446 3.239 12.793
O 3.388 2.955 3.263
O 1.791 0.105 10.401
O 4.324 4.424 0.851
O 3.605 3.078 8.001
O 3.496 0.094 3.234
O 4.320 1.469 10.410
O 4.430 1.544 0.852
O 6.130 4.432 8.008
O 4.486 1.305 5.635
O 6.375 4.543 12.784
O 6.851 3.061 0.840
O 6.042 1.562 8.013
O 6.035 1.339 12.779
```

Properties
offset from the most stable computed form = 2 meV/atom
E_form = -202.9 kJ per mole of atoms
total energy = -223.95 eV for the cell shown
ρ = 5560 kg/m3

---

# 2
Material: Si3W2O12
Method: DFT, PBE+U
State: optimized geometry

```
68
Lattice="-5.998 5.998 5.998 5.998 -5.998 5.998 5.998 5.998 -5.998" Properties=species:S:1:pos:R:3 pbc="T T T"
Si 8.998 1.500 0.000
Si 5.998 -2.999 4.499
Si 4.499 5.998 -2.999
Si 4.499 0.000 2.999
Si 2.999 4.499 0.000
Si 5.998 2.999 1.500
Si 0.000 2.999 4.499
Si 2.999 1.500 5.998
Si 1.500 5.998 2.999
Si 1.500 0.000 8.998
Si 0.000 8.998 1.500
Si -2.999 4.499 5.998
W 0.000 0.000 0.000
W 2.999 2.999 -2.999
W 2.999 -2.999 2.999
W 5.998 0.000 0.000
W -2.999 2.999 2.999
W 0.000 5.998 0.000
W 0.000 0.000 5.998
W 2.999 2.999 2.999
O 1.803 -0.497 0.519
O 7.194 3.518 -3.496
O 7.802 0.497 0.519
O 7.194 -2.480 3.496
O 5.501 -0.519 1.803
O 9.495 -1.196 2.480
O 0.519 1.803 -0.497
O 8.479 2.502 -1.196
O 3.518 3.496 -1.196
O 5.480 1.803 0.497
O -0.497 0.519 1.803
O 3.496 -1.196 3.518
O 5.501 5.480 -1.803
O 3.496 1.196 2.480
O 3.518 -3.496 7.194
O 5.480 -1.803 5.501
O 2.480 3.496 1.196
O 6.517 4.195 0.497
O 3.496 7.194 -2.480
O 5.501 0.519 4.195
O 1.803 5.501 -0.519
O 7.194 2.480 2.502
O 1.196 2.480 3.496
O 1.803 0.497 5.480
O 4.195 5.501 0.519
O 4.802 3.518 2.502
O -1.196 3.518 3.496
O 4.195 0.497 6.517
O 0.497 5.480 1.803
O 2.502 -1.196 8.479
O -0.519 1.803 5.501
O 3.518 2.502 4.802
O 0.519 7.802 0.497
O 2.480 9.495 -1.196
O 2.502 4.802 3.518
O 0.497 0.519 7.802
O 2.502 7.194 2.480
O 6.496 5.480 4.195
O 0.519 4.195 5.501
O 2.480 2.502 7.194
O -2.480 3.496 7.194
O 5.480 4.195 6.496
O -3.496 7.194 3.518
O 0.497 6.517 4.195
O -1.196 8.479 2.502
O -1.803 5.501 5.480
O -1.196 2.480 9.495
O 4.195 6.496 5.480
```

Properties
E_form = -252.9 kJ per mole of atoms
total energy = -516.00 eV for the cell shown
ρ = 4954 kg/m3

---

# 3
Material: LiCoH8S2O12
Method: DFT, PBE+U
State: optimized geometry

```
48
Lattice="5.501 0.000 0.000 0.000 8.117 0.000 -2.250 0.000 10.728" Properties=species:S:1:pos:R:3 pbc="T T T"
Li 0.000 1.571 0.000
Li -1.125 6.546 5.364
Co -0.186 2.081 3.984
Co -1.311 6.036 9.348
H 1.431 2.550 2.032
H 0.307 5.567 7.396
H 1.394 0.933 2.309
H 0.269 7.184 7.673
H -0.100 0.265 9.517
H 1.025 7.852 4.152
H 1.256 0.460 5.527
H 2.381 7.657 0.163
H 3.796 3.605 2.435
H 2.671 4.512 7.799
H 2.978 3.775 9.136
H 4.103 4.342 3.772
H 3.718 3.151 5.653
H 4.843 4.966 0.289
H 3.713 1.545 5.979
H 4.838 6.573 0.615
S 2.633 3.679 0.077
S 1.508 4.438 5.441
S 2.468 0.280 7.925
S 3.593 7.837 2.561
O 0.824 1.767 2.206
O -0.301 6.350 7.570
O 0.577 0.309 4.825
O -0.548 7.808 10.189
O -0.461 2.650 10.216
O 0.664 5.467 4.852
O 1.288 3.094 4.739
O 0.163 5.023 10.104
O 2.333 3.853 1.528
O 1.208 4.264 6.892
O 0.993 0.461 7.937
O 2.118 7.656 2.572
O 1.850 3.400 10.661
O 2.974 4.717 5.297
O 2.935 0.181 6.500
O 4.060 7.936 1.135
O 3.840 1.070 3.221
O 2.715 7.047 8.585
O 3.163 1.330 8.659
O 4.288 6.788 3.295
O 4.505 3.717 3.127
O 3.381 4.401 8.491
O 4.259 2.320 5.651
O 5.384 5.797 0.287
```

Properties
E_form = -147.0 kJ per mole of atoms
total energy = -261.00 eV for the cell shown
ρ = 2288 kg/m3

---

# 4
Material: Li9Mn2Co5O16
Method: DFT, PBE+U
State: optimized geometry

```
32
Lattice="5.921 0.000 0.000 2.770 7.179 0.000 2.874 2.457 6.744" Properties=species:S:1:pos:R:3 pbc="T T T"
Li 0.000 0.000 0.000
Li 2.821 4.796 3.345
Li 4.212 7.215 2.451
Li 2.908 2.403 1.689
Li 4.261 4.873 0.870
Li 2.926 0.021 0.049
Li 7.276 4.793 5.908
Li 8.677 7.257 5.030
Li 7.354 2.438 4.237
Mn 4.299 4.823 5.909
Mn 5.702 7.252 5.062
Co 4.346 2.434 4.259
Co 5.755 4.837 3.305
Co 7.235 7.204 2.457
Co 5.873 2.349 1.676
Co 7.285 4.812 0.829
O 2.974 3.736 5.084
O 1.428 1.331 0.762
O 4.362 6.013 4.319
O 5.699 8.360 3.487
O 5.723 6.041 6.582
O 7.086 8.388 5.756
O 4.408 3.575 2.613
O 5.687 3.727 5.073
O 5.752 5.982 1.705
O 7.057 6.131 4.152
O 4.451 1.239 0.978
O 5.821 1.277 3.350
O 8.917 5.998 6.740
O 7.174 3.690 2.435
O 10.257 8.273 5.932
O 8.550 5.944 1.684
```

Properties
offset from the most stable computed form = 26 meV/atom
E_form = -177.4 kJ per mole of atoms
total energy = -186.52 eV for the cell shown
ρ = 4188 kg/m3

---

# 5
Material: La11V12O36
Method: DFT, PBE+U
State: optimized geometry

```
59
Lattice="7.910 0.000 0.000 3.910 8.837 0.000 0.021 3.481 10.599" Properties=species:S:1:pos:R:3 pbc="T T T"
La 0.000 0.000 0.000
La 4.072 10.445 5.567
La 3.827 7.023 3.596
La 3.910 5.300 7.138
La 4.141 3.424 1.970
La 7.784 8.794 0.067
La 7.969 10.440 5.600
La 7.826 7.037 3.541
La 8.139 8.637 9.058
La 7.856 5.244 7.164
La 8.025 3.400 2.032
V 2.019 4.325 4.569
V 2.087 6.097 9.838
V 5.938 9.641 2.800
V 5.931 11.270 8.115
V 5.942 7.855 6.378
V 5.929 6.095 0.997
V 5.963 6.119 9.875
V 5.967 4.319 4.600
V 9.887 9.634 2.811
V 9.911 11.358 8.122
V 9.921 7.848 6.361
V 9.968 6.114 0.966
O 9.685 5.889 5.770
O 3.973 9.854 3.188
O 2.137 7.100 8.187
O 1.771 1.416 0.877
O 3.993 7.669 5.962
O 2.287 2.791 3.315
O 3.934 5.748 1.280
O 2.405 4.312 8.751
O 2.286 3.117 6.241
O 5.799 10.856 10.034
O 5.690 9.602 7.389
O 3.992 4.747 4.527
O 5.690 7.666 2.242
O 4.054 6.053 10.277
O 6.195 9.054 4.706
O 5.835 6.554 7.976
O 7.900 9.409 2.431
O 7.906 10.933 8.220
O 6.344 6.217 5.253
O 6.324 7.839 10.508
O 6.212 4.903 2.648
O 5.732 3.726 6.537
O 5.588 2.432 3.915
O 7.945 6.479 0.957
O 5.796 4.189 9.339
O 7.923 8.046 6.719
O 6.234 1.974 1.175
O 9.644 8.422 4.424
O 10.061 9.832 6.838
O 7.953 5.855 9.544
O 7.957 3.901 4.658
O 10.047 10.274 9.829
O 10.293 7.985 1.686
O 9.653 5.561 2.875
O 9.556 4.272 0.388
O 8.010 2.946 8.030
```

Properties
E_form = -310.2 kJ per mole of atoms
total energy = -486.01 eV for the cell shown
ρ = 6086 kg/m3

---

# 6
Material: Li5Mn4P8O28
Method: DFT, PBE+U
State: optimized geometry

```
90
Lattice="9.752 0.000 0.000 0.006 9.849 0.000 0.016 2.271 11.049" Properties=species:S:1:pos:R:3 pbc="T T T"
Li 0.000 0.000 0.000
Li 0.079 6.924 5.221
Li 2.943 7.224 10.991
Li 3.258 1.755 5.457
Li 5.050 3.324 0.488
Li 5.149 7.796 0.772
Li 6.085 1.419 6.369
Li 6.757 6.495 6.372
Li 8.632 4.131 5.773
Li 9.652 7.811 10.830
Mn 1.241 2.272 2.145
Mn 1.821 7.316 2.111
Mn 3.246 3.667 7.774
Mn 4.705 6.758 3.946
Mn 6.176 3.432 9.461
Mn 6.795 8.514 9.429
Mn 8.175 1.807 3.941
Mn 9.674 8.565 7.689
P 0.548 1.692 6.610
P 1.138 4.979 10.145
P 1.915 9.962 10.095
P 2.647 6.583 6.587
P 3.379 4.070 2.925
P 3.412 9.958 2.924
P 4.435 10.577 8.657
P 4.745 6.449 8.621
P 5.536 3.781 4.960
P 6.074 0.673 1.609
P 6.827 5.532 1.617
P 7.372 8.687 4.894
P 8.152 11.443 8.603
P 8.410 5.635 8.619
P 9.440 4.960 2.989
P 9.576 8.968 2.957
O 0.017 4.869 8.981
O 0.023 8.614 1.503
O 0.566 1.894 0.318
O 0.613 10.019 6.516
O 0.613 5.704 1.988
O 0.779 9.079 9.568
O 0.877 8.075 3.704
O 1.246 7.181 6.723
O 1.268 6.433 10.542
O 1.629 11.390 10.379
O 1.933 2.331 6.749
O 2.268 3.204 3.580
O 2.348 4.338 9.507
O 2.460 0.813 1.913
O 2.534 6.927 0.307
O 2.610 5.035 6.563
O 3.020 9.859 8.930
O 3.094 10.156 4.361
O 3.255 5.593 3.246
O 3.387 7.001 7.946
O 3.389 3.785 1.444
O 3.409 7.168 5.391
O 3.472 8.431 2.480
O 4.268 2.296 8.873
O 4.616 6.816 10.084
O 4.727 2.984 5.984
O 4.767 3.582 3.554
O 4.798 10.218 7.252
O 4.815 4.917 8.332
O 4.860 0.736 2.691
O 5.367 10.064 9.774
O 5.603 1.479 0.370
O 5.645 5.282 5.201
O 5.714 6.465 2.233
O 5.909 7.208 7.975
O 6.036 7.972 4.729
O 6.366 9.096 1.306
O 6.414 4.123 1.413
O 6.948 3.174 4.778
O 7.024 2.340 7.839
O 7.195 1.478 2.326
O 7.226 10.189 5.120
O 7.338 5.131 9.579
O 7.440 6.205 0.372
O 7.967 5.548 2.774
O 8.084 9.908 8.370
O 8.129 2.079 10.031
O 8.145 8.500 3.473
O 8.173 5.352 7.151
O 8.243 7.960 5.932
O 8.639 7.175 8.891
O 9.432 3.440 2.607
O 9.454 2.326 5.469
O 9.554 2.085 7.979
O 9.687 5.197 4.457
O 9.680 10.489 3.264
```

Properties
offset from the most stable computed form = 5 meV/atom
E_form = -246.2 kJ per mole of atoms
total energy = -633.94 eV for the cell shown
ρ = 2974 kg/m3

---

# 7
Material: TbMnO3
Method: DFT, PBE+U
State: optimized geometry

```
20
Lattice="6.038 0.000 0.000 0.000 13.165 0.000 0.000 0.000 3.407" Properties=species:S:1:pos:R:3 pbc="T T T"
Tb 1.475 3.291 0.839
Tb 1.544 9.874 2.543
Tb 4.493 3.291 0.864
Tb 4.563 9.874 2.568
Mn 0.000 0.000 0.000
Mn 0.000 6.583 0.000
Mn 3.019 0.000 1.704
Mn 3.019 6.583 1.704
O 0.043 9.874 0.835
O 1.450 1.011 0.923
O 1.450 5.572 0.923
O 1.569 7.593 2.627
O 1.569 12.154 2.627
O 2.976 3.291 2.539
O 3.062 9.874 0.868
O 4.469 1.011 0.780
O 4.469 5.572 0.780
O 4.588 7.593 2.484
O 4.588 12.154 2.484
O 5.995 3.291 2.572
```

Properties
E_form = -262.2 kJ per mole of atoms
total energy = -153.99 eV for the cell shown
ρ = 6422 kg/m3